Below is a relaxed CdSnF6 crystal, with properties calculated at the PBE-GGA level.

Lattice parameters (Å, degrees): 5.522 5.522 5.907 62.13 62.13 60.00
Positions (direct):
F 0.233 0.643 0.234
F 0.110 0.767 0.766
F 0.890 0.233 0.234
Cd 0.500 0.500 0.500
F 0.767 0.357 0.766
F 0.357 0.110 0.766
F 0.643 0.890 0.234
Sn 0.000 0.000 0.000

Values from the calculation:
As for the energy relative to the elements: -2.72 eV per atom. The calculation puts the energy at -4.422 eV/atom.

Below is a relaxed LaMg crystal, with properties calculated at the PBE-GGA level.

Lattice parameters (Å, degrees): 6.712 6.712 8.122 73.64 73.64 30.80
Positions (direct):
La 0.627 0.627 0.258
Mg 0.295 0.295 0.918
Mg 0.930 0.930 0.606
La 0.000 0.000 0.015
La 0.646 0.646 0.684
Mg 0.336 0.336 0.352

Values from the calculation:
For the size of the total moment, the calculation gives 0.00 μB per formula unit. As for the energy relative to the elements: -0.02 eV per atom. The calculation puts the energy at -3.288 eV/atom.

Below is a relaxed DyZr9Si9PO40 crystal, with properties calculated at the PBE-GGA level.

Lattice parameters (Å, degrees): 5.641 5.641 47.671 90.00 90.00 115.37
Positions (direct):
O 0.088 0.772 0.132
Zr 0.000 0.000 0.500
O 0.252 0.932 0.068
O 0.271 0.088 0.582
O 0.088 0.771 0.332
Si 0.000 0.000 0.200
O 0.729 0.912 0.582
O 0.229 0.412 0.482
Si 0.500 0.500 0.700
P 0.500 0.000 0.050
O 0.229 0.912 0.468
O 0.229 0.912 0.268
O 0.912 0.729 0.618
O 0.748 0.068 0.068
P 0.000 0.500 0.950
Si 0.500 0.500 0.300
O 0.412 0.229 0.718
O 0.088 0.271 0.418
O 0.271 0.088 0.382
O 0.228 0.401 0.083
O 0.229 0.412 0.282
O 0.412 0.729 0.232
Zr 0.500 0.500 0.800
Si 0.500 0.500 0.101
Si 0.000 0.000 0.400
Zr 0.500 0.500 0.600
O 0.271 0.089 0.182
O 0.271 0.588 0.168
O 0.772 0.599 0.083
O 0.588 0.271 0.432
Zr 0.000 0.500 0.850
O 0.249 0.569 0.968
O 0.751 0.431 0.968
O 0.588 0.271 0.232
O 0.771 0.088 0.468
O 0.228 0.912 0.868
O 0.412 0.729 0.632
Zr 0.500 0.000 0.550
O 0.903 0.726 0.018
Zr 0.000 0.500 0.450
O 0.588 0.771 0.318
Si 0.000 0.500 0.550
O 0.771 0.088 0.268
Si 0.000 0.000 0.800
Si 0.000 0.500 0.350
O 0.586 0.773 0.119
O 0.771 0.588 0.682
Dy 0.500 0.000 0.950
O 0.773 0.586 0.881
O 0.088 0.771 0.732
O 0.588 0.771 0.718
O 0.089 0.271 0.818
O 0.271 0.588 0.768
O 0.588 0.271 0.832
O 0.771 0.588 0.282
O 0.729 0.412 0.168
O 0.911 0.728 0.218
Zr 0.500 0.500 0.000
Dy 0.000 0.500 0.050
Zr 0.000 0.000 0.300
O 0.772 0.088 0.868
Si 0.000 0.500 0.750
O 0.726 0.903 0.982
Si 0.500 0.500 0.899
O 0.271 0.588 0.568
O 0.912 0.229 0.332
O 0.229 0.912 0.668
O 0.412 0.229 0.518
O 0.729 0.412 0.768
Si 0.000 0.500 0.150
O 0.729 0.412 0.368
Zr 0.000 0.500 0.650
O 0.728 0.911 0.782
O 0.588 0.271 0.632
O 0.088 0.271 0.618
O 0.569 0.249 0.032
O 0.088 0.771 0.532
Si 0.500 0.000 0.450
O 0.912 0.229 0.732
O 0.089 0.272 0.218
O 0.912 0.229 0.532
O 0.911 0.729 0.818
Si 0.500 0.500 0.500
O 0.431 0.751 0.032
O 0.414 0.227 0.119
Zr 0.500 0.000 0.150
O 0.599 0.772 0.917
O 0.588 0.771 0.518
Zr 0.000 0.000 0.101
O 0.912 0.228 0.132
Zr 0.000 0.000 0.899
O 0.272 0.089 0.782
O 0.412 0.729 0.432
O 0.729 0.412 0.568
O 0.729 0.912 0.382
O 0.097 0.274 0.018
O 0.771 0.088 0.668
O 0.412 0.729 0.832
O 0.068 0.748 0.932
Si 0.500 0.000 0.250
O 0.932 0.252 0.932
Zr 0.000 0.500 0.250
O 0.401 0.228 0.917
Si 0.500 0.000 0.650
Si 0.000 0.000 0.000
O 0.274 0.097 0.982
Si 0.500 0.000 0.850
O 0.729 0.911 0.182
Si 0.000 0.000 0.600
Zr 0.500 0.500 0.400
O 0.227 0.414 0.881
O 0.271 0.588 0.368
Zr 0.500 0.000 0.750
O 0.412 0.229 0.318
O 0.912 0.729 0.418
Zr 0.500 0.000 0.350
O 0.229 0.412 0.682
O 0.771 0.588 0.482
Zr 0.500 0.500 0.200
Zr 0.000 0.000 0.700

Values from the calculation:
For the size of the total moment, the calculation gives 0.00 μB per formula unit. As for the energy relative to the elements: -3.54 eV per atom. The calculation puts the energy at -8.646 eV/atom.

Below is a relaxed ZrF4 crystal, with properties calculated at the PBE-GGA level.

Lattice parameters (Å, degrees): 7.847 7.847 7.839 63.34 63.34 80.28
Positions (direct):
F 0.062 0.172 0.045
F 0.969 0.275 0.352
F 0.317 0.259 0.106
F 0.172 0.062 0.545
F 0.259 0.317 0.606
F 0.396 0.604 0.250
F 0.683 0.741 0.894
F 0.816 0.403 0.924
Zr 0.214 0.786 0.750
F 0.031 0.725 0.648
F 0.741 0.683 0.394
F 0.497 0.741 0.718
F 0.725 0.031 0.148
Zr 0.634 0.777 0.167
F 0.184 0.597 0.076
F 0.938 0.828 0.955
F 0.259 0.503 0.782
F 0.000 0.500 0.500
F 0.604 0.396 0.750
F 0.828 0.938 0.455
Zr 0.223 0.366 0.333
Zr 0.786 0.214 0.250
F 0.500 0.000 0.000
Zr 0.366 0.223 0.833
F 0.503 0.259 0.282
F 0.741 0.497 0.218
F 0.275 0.969 0.852
F 0.403 0.816 0.424
Zr 0.777 0.634 0.667
F 0.597 0.184 0.576

Values from the calculation:
As for the energy relative to the elements: -3.99 eV per atom. The calculation puts the energy at -6.865 eV/atom.

Below is a relaxed NdPa3 crystal, with properties calculated at the PBE-GGA level.

Lattice parameters (Å, degrees): 4.746 4.746 4.746 90.00 90.00 90.00
Positions (direct):
Pa 0.500 0.000 0.000
Pa 0.000 0.000 0.500
Nd 0.500 0.500 0.500
Pa 0.000 0.500 0.000

Values from the calculation:
For the size of the total moment, the calculation gives 0.00 μB per formula unit. As for the energy relative to the elements: 0.26 eV per atom. The calculation puts the energy at -8.072 eV/atom.

Below is a relaxed CePt3 crystal, with properties calculated at the PBE-GGA level.

Lattice parameters (Å, degrees): 4.173 4.173 4.173 90.00 90.00 90.00
Positions (direct):
Pt 0.500 0.500 0.000
Ce 0.000 0.000 0.000
Pt 0.500 0.000 0.500
Pt 0.000 0.500 0.500

Values from the calculation:
As for the energy relative to the elements: -0.97 eV per atom. The calculation puts the energy at -7.002 eV/atom.

Below is a relaxed BaNdGaO4 crystal, with properties calculated at the PBE-GGA level.

Lattice parameters (Å, degrees): 5.918 7.194 10.022 90.00 90.00 90.00
Positions (direct):
O 0.668 0.753 0.029
O 0.252 0.012 0.183
Ba 0.506 0.423 0.078
Nd 0.012 0.247 0.299
O 0.243 0.446 0.801
O 0.332 0.253 0.471
Ba 0.494 0.923 0.422
Ga 0.986 0.033 0.583
O 0.757 0.946 0.699
Ba 0.994 0.577 0.578
O 0.168 0.747 0.971
O 0.743 0.054 0.199
O 0.748 0.512 0.317
Nd 0.512 0.253 0.701
O 0.999 0.400 0.078
Nd 0.988 0.747 0.201
O 0.832 0.247 0.529
O 0.501 0.600 0.578
Ba 0.006 0.077 0.922
O 0.248 0.988 0.683
Ga 0.014 0.533 0.917
O 0.001 0.900 0.422
O 0.257 0.554 0.301
O 0.499 0.100 0.922
Ga 0.514 0.967 0.083
O 0.752 0.488 0.817
Nd 0.488 0.753 0.799
Ga 0.486 0.467 0.417

Values from the calculation:
For the size of the total moment, the calculation gives 0.00 μB per formula unit. As for the energy relative to the elements: -3.08 eV per atom. The calculation puts the energy at -6.900 eV/atom.

Below is a relaxed MgTe2Mo2W2Se4S2 crystal, with properties calculated at the PBE-GGA level.

Lattice parameters (Å, degrees): 3.335 3.335 46.719 90.00 90.00 120.00
Positions (direct):
Mo 0.333 0.667 0.087
Te 0.667 0.333 0.128
Se 0.333 0.667 0.622
Mg 0.000 0.000 0.190
Mo 0.333 0.667 0.470
Te 0.667 0.333 0.047
Se 0.333 0.667 0.693
Se 0.667 0.333 0.434
W 0.667 0.333 0.658
Se 0.667 0.333 0.505
S 0.333 0.667 0.259
S 0.333 0.667 0.324
W 0.667 0.333 0.292

Values from the calculation:
For the size of the total moment, the calculation gives 0.00 μB per formula unit. As for the energy relative to the elements: -0.54 eV per atom. The calculation puts the energy at -6.445 eV/atom.

Below is a relaxed AgAsSe2 crystal, with properties calculated at the PBE-GGA level.

Lattice parameters (Å, degrees): 3.925 3.925 6.956 73.61 73.61 60.00
Positions (direct):
As 0.000 0.000 0.000
Se 0.255 0.255 0.236
Ag 0.500 0.500 0.500
Se 0.745 0.745 0.764

Values from the calculation:
For the size of the total moment, the calculation gives 0.00 μB per formula unit. As for the energy relative to the elements: -0.31 eV per atom. The calculation puts the energy at -3.691 eV/atom.

Below is a relaxed TeMoWSeS2 crystal, with properties calculated at the PBE-GGA level.

Lattice parameters (Å, degrees): 3.305 3.305 38.727 90.00 90.00 120.00
Positions (direct):
Se 0.333 0.667 0.136
Se 0.333 0.667 0.050
S 0.333 0.667 0.510
Te 0.000 0.000 0.332
Mo 0.000 0.000 0.093
W 0.000 0.000 0.470
W 0.333 0.667 0.658
S 0.333 0.667 0.430
S 0.000 0.000 0.618
Te 0.000 0.000 0.233
Mo 0.333 0.667 0.282
S 0.000 0.000 0.697

Values from the calculation:
For the size of the total moment, the calculation gives 0.00 μB per formula unit. As for the energy relative to the elements: -0.76 eV per atom. The calculation puts the energy at -7.045 eV/atom.

Below is a relaxed Na6NbAl3Si2P4O24 crystal, with properties calculated at the PBE-GGA level.

Lattice parameters (Å, degrees): 8.728 8.744 21.760 89.95 89.87 119.78
Positions (direct):
Al 0.001 0.997 0.648
O 0.858 0.497 0.140
Na 0.638 0.006 0.246
Na 0.668 0.967 0.585
P 0.333 0.376 0.421
Nb 0.340 0.663 0.811
O 0.643 0.499 0.925
P 0.670 0.622 0.582
O 0.532 0.701 0.979
O 0.536 0.829 0.478
Na 0.979 0.991 0.997
O 0.835 0.029 0.803
O 0.834 0.521 0.741
O 0.975 0.168 0.586
Si 0.287 0.017 0.249
O 0.493 0.358 0.141
O 0.365 0.496 0.364
O 0.311 0.833 0.255
P 0.666 0.035 0.088
O 0.839 0.308 0.526
Si 0.049 0.372 0.919
Al 0.338 0.666 0.018
Na 0.663 0.335 0.828
Na 0.364 0.003 0.749
O 0.159 0.975 0.911
Al 0.662 0.336 0.188
O 0.141 0.643 0.082
Al 0.002 0.003 0.854
O 0.831 0.811 0.589
Na 0.972 0.675 0.914
Na 0.328 0.296 0.913
O 0.824 0.842 0.908
O 0.529 0.842 0.751
P 0.996 0.282 0.248
Al 0.998 0.999 0.350
O 0.299 0.462 0.477
O 0.190 0.024 0.589
O 0.458 0.305 0.028
O 0.168 0.192 0.413
O 0.848 0.540 0.027
Na 0.033 0.335 0.083
O 0.856 0.364 0.923
O 0.163 0.197 0.687
Nb 0.668 0.331 0.978
O 0.868 0.360 0.641
P 0.374 0.338 0.088
O 0.024 0.832 0.693
O 0.028 0.183 0.909
O 0.636 0.499 0.637
O 0.496 0.857 0.080
Na 0.999 0.990 0.503
O 0.166 0.467 0.255
P 0.955 0.626 0.088
O 0.857 0.501 0.425
O 0.645 0.156 0.426
Al 0.335 0.670 0.521
O 0.701 0.527 0.242
O 0.196 0.029 0.312
Na 0.664 0.339 0.329
O 0.502 0.148 0.924
O 0.166 0.465 0.979
O 0.352 0.501 0.081
O 0.170 0.975 0.188
O 0.187 0.169 0.090
O 0.361 0.857 0.576
Al 0.665 0.339 0.685
O 0.024 0.199 0.190
Na 0.300 0.333 0.588
Al 0.998 0.994 0.148
P 0.375 0.041 0.583
Na 0.963 0.297 0.417
O 0.823 0.793 0.310
Si 0.290 0.280 0.747
O 0.970 0.791 0.809
O 0.698 0.160 0.031
O 0.638 0.127 0.144
P 0.042 0.666 0.421
O 0.835 0.308 0.243
O 0.025 0.832 0.412
O 0.798 0.975 0.687
O 0.367 0.870 0.856
Si 0.630 0.684 0.921
O 0.500 0.869 0.359
P 0.722 0.004 0.747
O 0.499 0.640 0.578
O 0.837 0.024 0.092
O 0.491 0.176 0.244
Na 0.296 0.965 0.085
Na 0.998 0.361 0.746
O 0.202 0.165 0.809
O 0.460 0.161 0.526
P 0.989 0.712 0.748
Na 0.335 0.659 0.163
O 0.296 0.829 0.979
O 0.496 0.126 0.640
O 0.125 0.630 0.362
P 0.725 0.712 0.250
O 0.693 0.538 0.523
O 0.305 0.478 0.751
Si 0.328 0.948 0.919
O 0.966 0.170 0.307
O 0.802 0.837 0.195
Na 0.335 0.036 0.414
O 0.824 0.980 0.409
O 0.502 0.360 0.425
Na 0.700 0.670 0.419
Na 0.331 0.665 0.663
O 0.162 0.694 0.751
Al 0.665 0.331 0.484
P 0.957 0.338 0.583
O 0.697 0.169 0.742
O 0.146 0.500 0.576
Nb 0.332 0.672 0.309
O 0.533 0.692 0.256
O 0.486 0.303 0.740
O 0.167 0.699 0.474
Si 0.630 0.962 0.421
O 0.131 0.501 0.858
O 0.974 0.811 0.091
O 0.499 0.628 0.859

Values from the calculation:
For the size of the total moment, the calculation gives 0.00 μB per formula unit. As for the energy relative to the elements: -2.89 eV per atom. The calculation puts the energy at -6.993 eV/atom.